No. 1
Computed, not measured: a relaxed Sr3Li6Nb2O11 crystal at the meta-GGA r2SCAN level of DFT.

Unit cell a=5.8333 b=8.3451 c=10.5907 alpha=90.00 beta=90.00 gamma=90.00
Fractional positions:
Li 0.0000 0.6445 0.5000
Li 0.7800 0.6846 0.7500
O 0.7491 0.5000 0.4410
Nb 0.0000 0.0000 0.0000
O 0.8681 0.8242 0.6114
O 0.2829 0.0000 0.6079
O 0.7171 0.0000 0.1079
Li 0.1491 0.8536 0.7500
O 0.2829 0.0000 0.8921
O 0.8681 0.8242 0.8886
Li 0.0000 0.6445 0.0000
Li 0.8509 0.8536 0.2500
Li 0.7800 0.3154 0.7500
O 0.1319 0.8242 0.1114
Nb 0.2622 0.5000 0.7500
Li 0.2200 0.3154 0.2500
O 0.1319 0.8242 0.3886
O 0.1319 0.1758 0.3886
O 0.2509 0.5000 0.9410
Sr 0.5000 0.2633 0.5000
Li 0.2200 0.6846 0.2500
O 0.2509 0.5000 0.5590
Li 0.8509 0.1464 0.2500
Nb 0.0000 0.0000 0.5000
O 0.0592 0.5000 0.2500
O 0.7491 0.5000 0.0590
Li 0.0000 0.3555 0.5000
Li 0.1491 0.1464 0.7500
Sr 0.3820 0.0000 0.2500
Sr 0.5000 0.7367 0.5000
O 0.7171 0.0000 0.3921
Li 0.0000 0.3555 0.0000
O 0.5685 0.7005 0.2500
O 0.8681 0.1758 0.8886
O 0.4315 0.2995 0.7500
O 0.4315 0.7005 0.7500
O 0.1319 0.1758 0.1114
O 0.8681 0.1758 0.6114
Sr 0.5000 0.2633 0.0000
Nb 0.7378 0.5000 0.2500
O 0.5685 0.2995 0.2500
Sr 0.6180 0.0000 0.7500
Sr 0.5000 0.7367 0.0000
O 0.9408 0.5000 0.7500

- Electronic total energy: -469.5 eV/cell
- Calculated volume: 11.72 A^3/atom
- Space-group type: Pmma (51)
- DFT formation energy: -59.8 eV per formula unit
- Calculated density: 4.292 Mg/m³



No. 2
Computed, not measured: a relaxed LiNbRh2 crystal at the meta-GGA r2SCAN level of DFT.

Unit cell a=4.3277 b=4.3277 c=4.3277 alpha=60.00 beta=60.00 gamma=60.00
Fractional positions:
Rh 0.0000 0.0000 0.0000
Li 0.2500 0.2500 0.2500
Rh 0.5000 0.5000 0.5000
Nb 0.7500 0.7500 0.7500

- Electronic total energy: -77.3 eV/cell
- Calculated volume: 14.33 A^3/atom
- Space-group type: Fm-3m (225)
- DFT formation energy: -1.9 eV per formula unit
- Calculated density: 8.856 Mg/m³



No. 3
Computed, not measured: a relaxed LiNbRu2 crystal at the meta-GGA r2SCAN level of DFT.

Unit cell a=4.3158 b=4.3158 c=4.3158 alpha=60.00 beta=60.00 gamma=60.00
Fractional positions:
Ru 0.7500 0.7500 0.7500
Li 0.5000 0.5000 0.5000
Ru 0.2500 0.2500 0.2500
Nb 0.0000 0.0000 0.0000

- Electronic total energy: -78.4 eV/cell
- Calculated volume: 14.21 A^3/atom
- Space-group type: Fm-3m (225)
- DFT formation energy: -0.4 eV per formula unit
- Calculated density: 8.822 Mg/m³